Material: ZnRe2Mo2S8
Method: DFT, PBE-GGA
State: relaxed

Summary:
DFT formation energy, meV/atom: -1002
Total energy after the MP2020 corrections, Ry per atom: -0.5312

Unit cell a=6.8894 b=6.8894 c=6.8894 alpha=90.03 beta=60.22 gamma=120.25
Positions (direct):
Mo (0.7953, 0.6018, 0.6029)
Mo (0.2047, 0.6018, 0.1935)
S (0.2777, 0.8644, 0.8579)
S (0.2721, 0.4114, 0.8607)
S (0.7279, 0.8672, 0.8607)
S (0.7337, 0.3646, 0.9016)
S (0.7300, 0.3629, 0.3671)
S (0.2663, 0.3646, 0.3691)
S (0.2700, 0.9030, 0.3671)
S (0.7223, 0.8644, 0.4134)
Re (0.7935, 0.1896, 0.6039)
Re (0.2065, 0.6027, 0.6039)
Zn (0.0000, 0.0018, 0.9982)